Record 1
RbAl3CdSi3O12: relaxed, PBE.

a b c (Å): 12.2621 12.3789 12.3932
angles (deg): 90.69 90.12 90.09
Atoms (fractional coordinates):
Rb1 0.0000 0.0000 0.0000
Rb2 0.0599 0.5402 0.5075
Rb3 0.5013 0.5283 0.9900
Rb4 0.7790 0.5423 0.2140
Al1 0.1583 0.0104 0.2745
Al2 0.1703 0.1785 0.4674
Al3 0.3389 0.3943 0.4825
Al4 0.5182 0.3901 0.2770
Al5 0.5232 0.1766 0.1037
Al6 0.5308 0.6440 0.2747
Al7 0.5385 0.1863 0.8366
Al8 0.5482 0.3959 0.6593
Al9 0.7091 0.0057 0.0986
Al10 0.7247 0.3863 0.4558
Al11 0.8960 0.1739 0.4666
Al12 0.9082 0.0104 0.6553
Cd1 0.3425 0.2157 0.6458
Cd2 0.3460 0.2177 0.2696
Cd3 0.7164 0.2145 0.6663
Cd4 0.7181 0.1980 0.2962
Si1 0.1612 0.8270 0.4660
Si2 0.1681 0.0006 0.6514
Si3 0.3342 0.9961 0.0847
Si4 0.3492 0.6438 0.4691
Si5 0.3526 0.0133 0.8316
Si6 0.5141 0.8203 0.0773
Si7 0.5379 0.6511 0.6427
Si8 0.5400 0.8301 0.8358
Si9 0.7189 0.6471 0.4574
Si10 0.7277 0.0045 0.8443
Si11 0.8984 0.9909 0.2808
Si12 0.9135 0.8216 0.4648
O1 0.0198 0.0256 0.2427
O2 0.0333 0.1766 0.4678
O3 0.0384 0.7686 0.4675
O4 0.0465 0.0282 0.6901
O5 0.1754 0.9058 0.3658
O6 0.1772 0.8881 0.5830
O7 0.2172 0.1288 0.3386
O8 0.2180 0.9934 0.1457
O9 0.2243 0.0979 0.5789
O10 0.2340 0.3005 0.5030
O11 0.2454 0.7263 0.4639
O12 0.2450 0.9892 0.7595
O13 0.2911 0.5269 0.4912
O14 0.3121 0.0271 0.9562
O15 0.3937 0.8784 0.0870
O16 0.4014 0.3694 0.3581
O17 0.4098 0.1268 0.7870
O18 0.4110 0.0905 0.1396
O19 0.4184 0.6479 0.3596
O20 0.4263 0.3585 0.5922
O21 0.4268 0.6743 0.5739
O22 0.4410 0.9167 0.8183
O23 0.4853 0.2906 0.1793
O24 0.5203 0.7181 0.1554
O25 0.5211 0.7681 0.9512
O26 0.5297 0.2056 0.9707
O27 0.5397 0.7399 0.7410
O28 0.5406 0.5323 0.6969
O29 0.5492 0.5132 0.2185
O30 0.5645 0.3019 0.7625
O31 0.6102 0.9063 0.0940
O32 0.6386 0.3488 0.3453
O33 0.6455 0.6671 0.5661
O34 0.6483 0.1247 0.1553
O35 0.6505 0.1024 0.7926
O36 0.6531 0.6763 0.3476
O37 0.6564 0.8921 0.8352
O38 0.6655 0.3615 0.5819
O39 0.7591 0.0313 0.9686
O40 0.7640 0.5223 0.4460
O41 0.8253 0.9756 0.1731
O42 0.8299 0.2941 0.4312
O43 0.8326 0.7167 0.4691
O44 0.8390 0.9933 0.7767
O45 0.8431 0.0858 0.3597
O46 0.8485 0.1281 0.5946
O47 0.8948 0.9036 0.5634
O48 0.8987 0.8769 0.3467

Computed properties:
symmetry = P1, No. 1
VASP energy = -7.07 eV/atom
crystal system = triclinic

---

Record 2
RbAl3CdSi3O12: relaxed, PBE.

a b c (Å): 12.2979 12.3249 12.3903
angles (deg): 89.36 89.62 89.79
Atoms (fractional coordinates):
Rb1 0.0000 0.0000 0.0000
Rb2 0.0544 0.5437 0.4826
Rb3 0.2349 0.1806 0.7046
Rb4 0.5514 0.9836 0.5290
Al1 0.1481 0.5091 0.1622
Al2 0.1549 0.3390 0.9718
Al3 0.3292 0.1344 0.9663
Al4 0.3406 0.5177 0.6071
Al5 0.5085 0.1268 0.1676
Al6 0.5198 0.3389 0.3425
Al7 0.5252 0.8731 0.7898
Al8 0.5286 0.3481 0.6131
Al9 0.5331 0.1371 0.7885
Al10 0.7166 0.1285 0.9863
Al11 0.8817 0.3438 0.9775
Al12 0.8918 0.5151 0.7865
Cd1 0.3378 0.3098 0.1714
Cd2 0.3738 0.3596 0.8358
Cd3 0.7066 0.3078 0.7777
Cd4 0.7129 0.3009 0.1587
Si1 0.1439 0.6986 0.9722
Si2 0.1518 0.5234 0.7878
Si3 0.3307 0.5141 0.3506
Si4 0.3402 0.8687 0.9636
Si5 0.5138 0.8691 0.1501
Si6 0.5174 0.6922 0.3453
Si7 0.5335 0.7019 0.5890
Si8 0.7064 0.5116 0.3419
Si9 0.7069 0.8744 0.9779
Si10 0.7187 0.5241 0.5944
Si11 0.8923 0.5158 0.1646
Si12 0.8981 0.6955 0.9776
O1 0.0128 0.4842 0.2050
O2 0.0185 0.3500 0.9698
O3 0.0199 0.7530 0.9732
O4 0.0292 0.4885 0.7585
O5 0.1593 0.6195 0.0745
O6 0.1585 0.6347 0.8576
O7 0.2060 0.3922 0.0955
O8 0.2111 0.2113 0.9446
O9 0.2115 0.4232 0.8615
O10 0.2175 0.5365 0.6749
O11 0.2185 0.5243 0.2841
O12 0.2240 0.8033 0.9738
O13 0.3004 0.4854 0.4753
O14 0.3063 0.9970 0.9531
O15 0.3915 0.1666 0.0902
O16 0.4050 0.4164 0.2934
O17 0.4048 0.6237 0.3418
O18 0.4065 0.4028 0.6714
O19 0.4067 0.8446 0.0771
O20 0.4099 0.8291 0.8617
O21 0.4156 0.1908 0.8597
O22 0.4318 0.6235 0.6111
O23 0.5022 0.2182 0.2746
O24 0.5082 0.0084 0.7459
O25 0.5076 0.9898 0.2001
O26 0.5180 0.3431 0.4779
O27 0.5179 0.7836 0.2516
O28 0.5275 0.7517 0.4625
O29 0.5381 0.8061 0.6649
O30 0.5578 0.2262 0.6793
O31 0.6223 0.6120 0.3290
O32 0.6261 0.8511 0.0820
O33 0.6295 0.1634 0.0969
O34 0.6444 0.8570 0.8664
O35 0.6450 0.4270 0.6518
O36 0.6482 0.3999 0.2943
O37 0.6508 0.6370 0.5946
O38 0.6517 0.1638 0.8647
O39 0.7438 0.4927 0.4669
O40 0.7618 0.9950 0.9892
O41 0.8132 0.7948 0.9910
O42 0.8166 0.5350 0.2724
O43 0.8250 0.2171 0.0077
O44 0.8281 0.4006 0.8546
O45 0.8324 0.4177 0.0962
O46 0.8335 0.5301 0.6567
O47 0.8762 0.6250 0.8722
O48 0.8919 0.6244 0.0900

Computed properties:
symmetry = P1, No. 1
VASP energy = -7.05 eV/atom
crystal system = triclinic

---

Record 3
Al2Cd3Si3O12: relaxed, PBE.

a b c (Å): 10.3699 10.3699 10.3699
angles (deg): 109.47 109.47 109.47
Atoms (fractional coordinates):
Al1 0.0000 0.0000 0.0000
Al2 0.0000 0.0000 0.5000
Al3 0.0000 0.5000 0.0000
Al4 0.0000 0.5000 0.5000
Al5 0.5000 0.0000 0.0000
Al6 0.5000 0.0000 0.5000
Al7 0.5000 0.5000 0.0000
Al8 0.5000 0.5000 0.5000
Cd1 0.1250 0.2500 0.3750
Cd2 0.1250 0.3750 0.7500
Cd3 0.2500 0.3750 0.1250
Cd4 0.2500 0.8750 0.6250
Cd5 0.3750 0.1250 0.2500
Cd6 0.3750 0.7500 0.1250
Cd7 0.6250 0.2500 0.8750
Cd8 0.6250 0.8750 0.7500
Cd9 0.7500 0.1250 0.3750
Cd10 0.7500 0.6250 0.8750
Cd11 0.8750 0.6250 0.2500
Cd12 0.8750 0.7500 0.6250
Si1 0.1250 0.7500 0.8750
Si2 0.1250 0.8750 0.2500
Si3 0.2500 0.1250 0.8750
Si4 0.2500 0.6250 0.3750
Si5 0.3750 0.2500 0.6250
Si6 0.3750 0.6250 0.7500
Si7 0.6250 0.3750 0.2500
Si8 0.6250 0.7500 0.3750
Si9 0.7500 0.3750 0.6250
Si10 0.7500 0.8750 0.1250
Si11 0.8750 0.1250 0.7500
Si12 0.8750 0.2500 0.1250
O1 0.0058 0.1945 0.1130
O2 0.0058 0.3113 0.8928
O3 0.0815 0.6945 0.6887
O4 0.0815 0.8870 0.3928
O5 0.1072 0.6130 0.4185
O6 0.1072 0.9942 0.6887
O7 0.1130 0.0058 0.1945
O8 0.1130 0.6072 0.9185
O9 0.1887 0.1945 0.5815
O10 0.1887 0.4942 0.6072
O11 0.1945 0.1130 0.0058
O12 0.1945 0.5815 0.1887
O13 0.3055 0.3113 0.9185
O14 0.3055 0.4942 0.3870
O15 0.3113 0.8928 0.0058
O16 0.3113 0.9185 0.3055
O17 0.3870 0.3055 0.4942
O18 0.3870 0.5815 0.8928
O19 0.3928 0.0815 0.8870
O20 0.3928 0.8113 0.5058
O21 0.4185 0.1072 0.6130
O22 0.4185 0.8113 0.8055
O23 0.4942 0.3870 0.3055
O24 0.4942 0.6072 0.1887
O25 0.5058 0.3928 0.8113
O26 0.5058 0.6130 0.6945
O27 0.5815 0.1887 0.1945
O28 0.5815 0.8928 0.3870
O29 0.6072 0.1887 0.4942
O30 0.6072 0.9185 0.1130
O31 0.6130 0.4185 0.1072
O32 0.6130 0.6945 0.5058
O33 0.6887 0.0815 0.6945
O34 0.6887 0.1072 0.9942
O35 0.6945 0.5058 0.6130
O36 0.6945 0.6887 0.0815
O37 0.8055 0.4185 0.8113
O38 0.8055 0.8870 0.9942
O39 0.8113 0.5058 0.3928
O40 0.8113 0.8055 0.4185
O41 0.8870 0.3928 0.0815
O42 0.8870 0.9942 0.8055
O43 0.8928 0.0058 0.3113
O44 0.8928 0.3870 0.5815
O45 0.9185 0.1130 0.6072
O46 0.9185 0.3055 0.3113
O47 0.9942 0.6887 0.1072
O48 0.9942 0.8055 0.8870

Computed properties:
symmetry = Ia-3d, No. 230
VASP energy = -6.64 eV/atom
crystal system = cubic

---

Number 1: energy of formation -3.04 eV/atom. Number 2: energy of formation -3.03 eV/atom. Number 3: energy of formation -2.76 eV/atom.